1.
The following is a DFT calculation (PBE) of a relaxed ZrNCl crystal.

Structure (POSCAR):
```
ZrNCl
1.0
1.6808 -2.9113 0.0000
1.6808 2.9113 0.0000
0.0000 0.0000 12.2929
Cl Zr N
2 2 2
direct
0.3333 0.6667 0.6420
0.6667 0.3333 0.3580
0.0000 0.0000 0.1956
0.0000 0.0000 0.8044
0.3333 0.6667 0.8689
0.6667 0.3333 0.1311
```

Values from the calculation:
Size of the total moment = 0.0 μB per formula unit
E = -45.17 eV for the cell shown



2.
The following is a DFT calculation (PBE) of a relaxed Zn3Si4Sb2O14 crystal.

Structure (POSCAR):
```
Zn3Si4Sb2O14
1.0
-7.8394 -4.1116 3.1577
-2.3801 -9.0513 -0.8610
0.4207 -6.4086 8.4488
O Si Sb Zn
28 8 4 6
direct
0.7297 0.0569 0.6786
0.9233 0.4998 0.9246
0.5153 0.0692 0.1312
0.9366 0.8980 0.3992
0.4847 0.9308 0.8688
0.6575 0.2025 0.1829
0.6134 0.4932 0.5634
0.8980 0.9366 0.8992
0.3866 0.5068 0.4366
0.3667 0.2956 0.7378
0.9431 0.2703 0.8214
0.4998 0.9233 0.4246
0.0692 0.5153 0.6312
0.4932 0.6134 0.0634
0.2025 0.6575 0.6829
0.1020 0.0634 0.1008
0.9308 0.4847 0.3688
0.5002 0.0767 0.5754
0.2703 0.9431 0.3214
0.5068 0.3866 0.9366
0.0569 0.7297 0.1786
0.2956 0.3667 0.2378
0.0634 0.1020 0.6008
0.6333 0.7044 0.2622
0.7975 0.3425 0.3171
0.3425 0.7975 0.8171
0.0767 0.5002 0.0754
0.7044 0.6333 0.7622
0.5225 0.0890 0.7125
0.2668 0.4917 0.6134
0.4917 0.2668 0.1134
0.5083 0.7332 0.8866
0.7332 0.5083 0.3866
0.4775 0.9110 0.2875
0.9110 0.4775 0.7875
0.0890 0.5225 0.2125
0.0000 0.0000 0.5000
0.7966 0.2034 0.7500
0.0000 0.0000 0.0000
0.2034 0.7966 0.2500
0.6902 0.9854 0.3917
0.0146 0.3098 0.1083
0.5805 0.4195 0.2500
0.4195 0.5805 0.7500
0.9854 0.6902 0.8917
0.3098 0.0146 0.6083
```

Values from the calculation:
Size of the total moment = 0.0 μB per formula unit
E = -296.68 eV for the cell shown



3.
The following is a DFT calculation (PBE) of a relaxed Li2AgF3 crystal.

Structure (POSCAR):
```
Li2AgF3
1.0
4.7213 2.7382 0.0000
-4.7213 2.7382 0.0000
0.0000 1.7427 5.2379
F Li Ag
6 4 2
direct
0.1063 0.4063 0.6939
0.4063 0.1063 0.6939
0.5937 0.8937 0.3061
0.1960 0.1960 0.2501
0.8040 0.8040 0.7499
0.8937 0.5937 0.3061
0.0000 0.0000 0.0000
0.1552 0.8448 0.5000
0.5000 0.5000 0.5000
0.8448 0.1552 0.5000
0.6775 0.3225 0.0000
0.3225 0.6775 0.0000
```

Values from the calculation:
Size of the total moment = 0.0 μB per formula unit
E = -51.13 eV for the cell shown